*w*
A plane-wave DFT calculation with PBE with a Hubbard U was carried out for Li2Mn2P4H3O16 after structural relaxation.

Cell and atoms, written as CIF:
```
data_Li2Mn2P4H3O16
_cell_length_a 4.864
_cell_length_b 7.391
_cell_length_c 8.218
_cell_angle_alpha 92.12
_cell_angle_beta 90.17
_cell_angle_gamma 104.44
_symmetry_space_group_name_H-M 'P 1'
_symmetry_Int_Tables_number 1
_symmetry_space_group_name_Hall 'P 1'
loop_
_atom_site_label
_atom_site_type_symbol
_atom_site_fract_x
_atom_site_fract_y
_atom_site_fract_z
Li1 Li 0.000 0.000 0.000
Li2 Li 0.195 0.294 0.727
Mn1 Mn 0.107 0.152 0.363
Mn2 Mn 0.602 0.649 0.859
P1 P 0.229 0.903 0.712
P2 P 0.483 0.889 0.205
P3 P 0.723 0.417 0.519
P4 P 0.983 0.401 0.011
H1 H 0.038 0.654 0.405
H2 H 0.284 0.576 0.239
H3 H 0.566 0.133 0.861
O1 O 0.098 0.384 0.182
O2 O 0.154 0.962 0.548
O3 O 0.230 0.494 0.894
O4 O 0.259 0.006 0.188
O5 O 0.344 0.707 0.298
O6 O 0.355 0.091 0.820
O7 O 0.444 0.781 0.698
O8 O 0.475 0.308 0.413
O9 O 0.580 0.839 0.033
O10 O 0.614 0.452 0.693
O11 O 0.737 0.004 0.303
O12 O 0.768 0.525 0.022
O13 O 0.839 0.611 0.444
O14 O 0.856 0.208 0.926
O15 O 0.954 0.306 0.534
O16 O 0.973 0.810 0.820
```

Results
- calculated density (g/cm³) = 2.943



*x*
A plane-wave DFT calculation with PBE with a Hubbard U was carried out for Li2Mn2P4H3O16 after structural relaxation.

Cell and atoms, written as CIF:
```
data_Li2Mn2P4H3O16
_cell_length_a 4.880
_cell_length_b 7.522
_cell_length_c 8.109
_cell_angle_alpha 88.84
_cell_angle_beta 87.60
_cell_angle_gamma 75.33
_symmetry_space_group_name_H-M 'P 1'
_symmetry_Int_Tables_number 1
_symmetry_space_group_name_Hall 'P 1'
loop_
_atom_site_label
_atom_site_type_symbol
_atom_site_fract_x
_atom_site_fract_y
_atom_site_fract_z
Li1 Li 0.000 0.000 0.000
Li2 Li 0.195 0.699 0.244
Mn1 Mn 0.101 0.850 0.623
Mn2 Mn 0.604 0.353 0.121
P1 P 0.224 0.097 0.282
P2 P 0.491 0.102 0.792
P3 P 0.713 0.598 0.454
P4 P 0.981 0.612 0.966
H1 H 0.067 0.377 0.521
H2 H 0.142 0.331 0.739
H3 H 0.564 0.870 0.136
O1 O 0.062 0.655 0.788
O2 O 0.144 0.043 0.455
O3 O 0.240 0.511 0.070
O4 O 0.277 0.986 0.822
O5 O 0.340 0.287 0.700
O6 O 0.355 0.912 0.182
O7 O 0.432 0.219 0.290
O8 O 0.464 0.694 0.567
O9 O 0.597 0.547 0.290
O10 O 0.603 0.155 0.957
O11 O 0.740 0.008 0.680
O12 O 0.782 0.480 0.955
O13 O 0.854 0.788 0.064
O14 O 0.862 0.413 0.545
O15 O 0.927 0.713 0.425
O16 O 0.970 0.189 0.175
```

Results
- calculated density (g/cm³) = 2.924



What is the most stable structure shown above? It is *w*.